Entry from the Materials Project: ThSi2Ni2 after structural relaxation (PBE-GGA).

Unit cell a=5.5749 b=5.5749 c=5.5749 alpha=137.20 beta=137.20 gamma=62.13
Fractional coordinates of all 5 atoms:
Th: 0.0000 0.0000 0.0000
Si: 0.3709 0.3709 0.0000
Si: 0.6291 0.6291 0.0000
Ni: 0.2500 0.7500 0.5000
Ni: 0.7500 0.2500 0.5000

Calculated values
ΔH_f (0 K) = -857 meV/atom
Uncorrected energy = -6.822 eV per atom
Mass density = 8.5 g/cm³

Entry from the Materials Project: Th2Si3Ni after structural relaxation (PBE-GGA).

Unit cell a=4.0947 b=4.0947 c=8.1620 alpha=90.00 beta=90.00 gamma=120.00
Fractional coordinates of all 6 atoms:
Th: 0.0000 0.0000 0.2446
Th: 0.0000 0.0000 0.7554
Si: 0.3333 0.6667 0.5000
Si: 0.6667 0.3333 0.0000
Si: 0.6667 0.3333 0.5000
Ni: 0.3333 0.6667 0.0000

Calculated values
ΔH_f (0 K) = -798 meV/atom
Uncorrected energy = -6.945 eV per atom
Mass density = 8.5 g/cm³

Entry from the Materials Project: Ti2SiNi3 after structural relaxation (PBE-GGA).

Unit cell a=4.7984 b=4.7984 c=7.5028 alpha=90.00 beta=90.00 gamma=120.00
Fractional coordinates of all 12 atoms:
Ti: 0.3333 0.6667 0.0585
Ti: 0.3333 0.6667 0.4415
Ti: 0.6667 0.3333 0.5585
Ti: 0.6667 0.3333 0.9415
Si: 0.0000 0.0000 0.0000
Si: 0.0000 0.0000 0.5000
Ni: 0.1699 0.3397 0.7500
Ni: 0.1699 0.8301 0.7500
Ni: 0.3397 0.1699 0.2500
Ni: 0.6603 0.8301 0.7500
Ni: 0.8301 0.1699 0.2500
Ni: 0.8301 0.6603 0.2500

Calculated values
ΔH_f (0 K) = -613 meV/atom
Uncorrected energy = -7.039 eV per atom
Mass density = 6.7 g/cm³